Below is a relaxed structure of Ho2Ga3Fe, with properties calculated at the PBE level.

a b c (Å): 5.597 5.597 7.111
angles (deg): 128.70 128.70 45.29
Atoms (fractional coordinates):
Ho (0.000, 0.000, 0.000)
Ho (0.086, 0.086, 0.584)
Ga (0.377, 0.377, 0.193)
Ga (0.691, 0.691, 0.975)
Ga (0.716, 0.716, 0.421)
Fe (0.377, 0.377, 0.580)

Calculated values
Magnetic moment: 1.9 Bohr magnetons per cell
Energy relative to the elements: -476.8 meV per atom
Symmetry: Cm